Entry 1:
GGA+U DyFe3B4O12, optimized geometry; energy of formation from the pure elements = -2579 meV/atom; magnetization = 45.0 μB per cell
1.0
-8.855 3.754 0.019
3.497 -4.031 -8.002
-2.868 -6.776 2.160
B O Dy Fe
12 36 3 9
Direct
0.000 0.668 0.167
0.324 0.876 0.513
0.668 0.000 0.833
0.124 0.448 0.847
0.779 0.779 0.500
0.332 0.332 0.500
0.221 0.000 0.833
0.876 0.324 0.487
0.552 0.676 0.180
0.448 0.124 0.153
0.000 0.221 0.167
0.676 0.552 0.820
0.693 0.418 0.796
0.183 0.877 0.487
0.145 0.669 0.176
0.000 0.812 0.167
0.639 0.787 0.515
0.726 0.307 0.463
0.855 0.525 0.158
0.694 0.817 0.153
0.475 0.331 0.491
0.331 0.475 0.509
0.010 0.475 0.481
0.475 0.010 0.519
0.852 0.213 0.151
0.582 0.274 0.129
0.465 0.990 0.148
0.669 0.145 0.824
0.877 0.183 0.513
0.148 0.361 0.182
0.000 0.077 0.167
0.787 0.639 0.485
0.123 0.306 0.820
0.525 0.855 0.842
0.213 0.852 0.849
0.535 0.525 0.185
0.188 0.188 0.500
0.418 0.693 0.204
0.361 0.148 0.818
0.525 0.535 0.815
0.274 0.582 0.871
0.812 0.000 0.833
0.077 0.000 0.833
0.817 0.694 0.847
0.990 0.465 0.852
0.923 0.923 0.500
0.307 0.726 0.537
0.306 0.123 0.180
0.000 0.664 0.667
0.336 0.336 0.000
0.664 0.000 0.333
0.000 0.116 0.667
0.335 0.786 0.011
0.665 0.452 0.323
0.214 0.548 0.344
0.452 0.665 0.677
0.884 0.884 0.000
0.116 0.000 0.333
0.786 0.335 0.989
0.548 0.214 0.656

=====

Entry 2:
GGA+U NaMg14CrO16, optimized geometry; energy of formation from the pure elements = -2917 meV/atom; distance to the lowest polymorph of the same formula = 0.00 eV per formula unit; magnetization = 3.0 μB per cell
1.0
-1.464 -8.210 1.884
4.133 0.970 7.440
-3.669 1.090 1.896
O Mg Cr Na
16 14 1 1
Direct
0.000 0.731 0.000
0.249 0.748 0.500
0.758 0.500 0.000
0.736 0.000 0.000
0.000 0.269 0.000
0.751 0.748 0.500
0.000 0.000 0.500
0.264 0.000 0.000
0.249 0.252 0.500
0.500 0.500 0.500
0.242 0.500 0.000
0.500 0.744 0.000
0.751 0.252 0.500
0.000 0.500 0.500
0.500 0.256 0.000
0.500 0.000 0.500
0.000 0.759 0.500
0.500 0.000 0.000
0.500 0.500 0.000
0.000 0.241 0.500
0.500 0.248 0.500
0.252 0.500 0.500
0.250 0.756 0.000
0.247 0.000 0.500
0.250 0.244 0.000
0.753 0.000 0.500
0.748 0.500 0.500
0.500 0.752 0.500
0.750 0.244 0.000
0.750 0.756 0.000
0.000 0.500 0.000
0.000 0.000 0.000

=====

Entry 3:
GGA+U Li2Fe2P2O9, optimized geometry; energy of formation from the pure elements = -2321 meV/atom; magnetization = 40.0 μB per cell
1.0
5.695 0.000 0.000
0.000 8.289 0.000
0.000 0.000 14.719
Li O P Fe
8 36 8 8
Direct
0.250 0.018 0.268
0.250 0.068 0.880
0.750 0.932 0.120
0.750 0.432 0.380
0.750 0.982 0.732
0.250 0.568 0.620
0.750 0.482 0.768
0.250 0.518 0.232
0.970 0.182 0.153
0.530 0.182 0.153
0.018 0.737 0.043
0.030 0.818 0.847
0.250 0.940 0.415
0.250 0.122 0.758
0.750 0.932 0.408
0.970 0.682 0.347
0.030 0.318 0.653
0.750 0.560 0.915
0.482 0.237 0.457
0.750 0.432 0.092
0.250 0.622 0.742
0.470 0.318 0.653
0.250 0.992 0.020
0.750 0.378 0.258
0.470 0.818 0.847
0.982 0.763 0.543
0.518 0.763 0.543
0.750 0.650 0.676
0.750 0.060 0.585
0.018 0.237 0.457
0.250 0.440 0.085
0.750 0.508 0.520
0.518 0.263 0.957
0.250 0.850 0.176
0.750 0.150 0.824
0.250 0.568 0.908
0.250 0.350 0.324
0.750 0.008 0.980
0.250 0.068 0.592
0.982 0.263 0.957
0.530 0.682 0.347
0.750 0.878 0.242
0.482 0.737 0.043
0.250 0.492 0.480
0.750 0.672 0.574
0.750 0.294 0.169
0.250 0.206 0.669
0.250 0.328 0.426
0.250 0.828 0.074
0.750 0.172 0.926
0.750 0.794 0.331
0.250 0.706 0.831
0.000 0.500 0.000
0.500 0.500 0.000
0.250 0.704 0.424
0.750 0.796 0.924
0.000 0.000 0.500
0.250 0.204 0.076
0.750 0.296 0.576
0.500 0.000 0.500

=====

Entry 4:
GGA+U SrDyCo4O12, optimized geometry; energy of formation from the pure elements = -1402 meV/atom; magnetization = 15.3 μB per cell
1.0
5.306 0.000 0.000
0.000 5.306 0.000
0.000 0.000 7.468
O Co Dy Sr
12 4 1 1
Direct
0.260 0.260 0.764
0.740 0.740 0.236
0.000 0.500 0.500
0.740 0.260 0.236
0.260 0.740 0.236
0.260 0.260 0.236
0.740 0.260 0.764
0.500 0.000 0.500
0.500 0.000 0.000
0.260 0.740 0.764
0.000 0.500 0.000
0.740 0.740 0.764
0.000 0.500 0.253
0.500 0.000 0.747
0.500 0.000 0.253
0.000 0.500 0.747
0.500 0.500 0.000
0.000 0.000 0.500

=====

Entry 5:
GGA+U Li4Ni3SbO8, optimized geometry; energy of formation from the pure elements = -1788 meV/atom; distance to the lowest polymorph of the same formula = 0.00 eV per formula unit; magnetization = 10.0 μB per cell
1.0
-0.007 3.134 -5.126
1.771 6.771 7.663
5.168 -1.570 2.556
Li O Ni Sb
8 16 6 2
Direct
0.750 0.250 0.251
0.506 0.990 0.497
0.994 0.510 0.003
0.018 0.010 0.503
0.481 0.490 0.997
0.249 0.250 0.250
0.750 0.750 0.750
0.251 0.750 0.751
0.882 0.120 0.642
0.352 0.123 0.108
0.123 0.363 0.849
0.379 0.623 0.608
0.860 0.617 0.618
0.640 0.882 0.882
0.122 0.878 0.893
0.619 0.380 0.859
0.377 0.137 0.649
0.121 0.880 0.359
0.148 0.378 0.393
0.624 0.382 0.382
0.910 0.637 0.149
0.379 0.620 0.142
0.875 0.117 0.117
0.589 0.863 0.350
0.750 0.250 0.749
0.498 0.000 0.000
0.002 0.501 0.500
0.250 0.750 0.251
0.750 0.750 0.250
0.250 0.250 0.750
0.997 0.000 0.000
0.503 0.500 0.500

=====

Entry 6:
GGA+U Mn6O5F7, optimized geometry; energy of formation from the pure elements = -2437 meV/atom; distance to the lowest polymorph of the same formula = 0.06 eV per formula unit; magnetization = 25.0 μB per cell
1.0
3.488 3.227 0.000
-3.488 3.227 0.000
0.000 0.005 9.455
O F Mn
5 7 6
Direct
0.817 0.183 0.500
0.323 0.316 0.668
0.684 0.677 0.332
0.691 0.701 0.998
0.299 0.309 0.002
0.287 0.284 0.322
0.809 0.202 0.835
0.219 0.781 0.500
0.173 0.810 0.177
0.798 0.191 0.165
0.716 0.713 0.678
0.190 0.827 0.823
0.997 0.003 0.000
0.501 0.508 0.159
0.523 0.477 0.500
0.018 0.036 0.660
0.964 0.982 0.340
0.492 0.499 0.841

=====

Entry 7:
GGA+U FeOF, optimized geometry; energy of formation from the pure elements = -2040 meV/atom; magnetization = 30.0 μB per cell
1.0
4.774 0.000 0.000
0.000 4.777 0.000
0.000 0.000 9.215
Fe F O
6 6 6
Direct
0.473 0.280 0.168
0.556 0.230 0.500
0.056 0.770 0.000
0.973 0.720 0.332
0.973 0.720 0.668
0.473 0.280 0.832
0.302 0.047 0.664
0.698 0.470 0.000
0.302 0.047 0.336
0.198 0.530 0.500
0.802 0.953 0.836
0.802 0.953 0.164
0.191 0.572 0.830
0.691 0.428 0.670
0.816 0.919 0.500
0.691 0.428 0.330
0.316 0.081 0.000
0.191 0.572 0.170

=====

Entry 8:
GGA+U Li9Mn2Co5O16, optimized geometry; energy of formation from the pure elements = -1825 meV/atom; distance to the lowest polymorph of the same formula = 1.26 eV per formula unit; magnetization = 12.0 μB per cell
1.0
5.138 0.000 0.000
-1.665 5.649 0.000
-1.737 -0.542 9.924
Mn O Li Co
2 16 9 5
Direct
0.002 0.007 0.497
0.995 0.000 0.002
0.215 0.813 0.932
0.228 0.822 0.440
0.775 0.433 0.813
0.230 0.558 0.683
0.771 0.180 0.056
0.769 0.704 0.059
0.231 0.295 0.445
0.782 0.710 0.567
0.771 0.458 0.319
0.235 0.569 0.179
0.223 0.064 0.682
0.770 0.941 0.820
0.227 0.290 0.941
0.226 0.043 0.177
0.772 0.936 0.325
0.776 0.184 0.560
0.498 0.129 0.371
0.505 0.882 0.128
0.999 0.248 0.250
0.502 0.367 0.132
0.498 0.626 0.370
0.502 0.124 0.877
0.501 0.626 0.874
0.500 0.874 0.624
0.496 0.373 0.625
0.999 0.495 0.491
0.999 0.757 0.250
0.998 0.252 0.751
0.001 0.746 0.749
0.007 0.494 0.013

=====

Entry 9:
GGA+U NaFe5O8, optimized geometry; energy of formation from the pure elements = -1619 meV/atom; distance to the lowest polymorph of the same formula = 0.44 eV per formula unit; magnetization = 25.0 μB per cell
1.0
-4.298 4.298 -0.031
4.298 -0.031 4.298
4.267 4.267 0.000
O Na Fe
8 1 5
Direct
0.883 0.723 0.393
0.367 0.777 0.367
0.883 0.723 0.883
0.367 0.777 0.857
0.872 0.256 0.872
0.393 0.233 0.883
0.378 0.244 0.378
0.857 0.267 0.367
0.625 0.750 0.625
0.008 0.985 0.008
0.625 0.250 0.625
0.125 0.750 0.625
0.625 0.250 0.125
0.242 0.515 0.242

=====

Entry 10:
GGA+U TaAgWO7, optimized geometry; energy of formation from the pure elements = -2025 meV/atom; magnetization = 2.2 μB per cell
1.0
-3.642 3.755 5.266
3.642 -3.755 5.266
3.642 3.755 -5.266
O W Ta Ag
14 2 2 2
Direct
0.421 0.171 0.250
0.306 0.185 0.746
0.939 0.185 0.379
0.694 0.440 0.879
0.942 0.192 0.750
0.683 0.433 0.250
0.579 0.829 0.750
0.058 0.808 0.250
0.317 0.567 0.750
0.061 0.440 0.246
0.694 0.815 0.254
0.939 0.560 0.754
0.306 0.560 0.121
0.061 0.815 0.621
0.000 0.500 0.000
0.000 0.000 0.500
0.500 0.500 0.000
0.000 0.500 0.500
0.500 0.000 0.000
0.500 0.500 0.500

=====

Entry 11:
GGA+U Mg4FeO5, optimized geometry; energy of formation from the pure elements = -2736 meV/atom; distance to the lowest polymorph of the same formula = 0.00 eV per formula unit; magnetization = 0.0 μB per cell
1.0
-2.147 -2.147 0.000
6.499 -6.498 -8.494
2.156 -2.155 4.231
O Fe Mg
10 2 8
Direct
0.500 0.107 0.217
0.000 0.302 0.106
0.000 0.500 0.500
0.500 0.893 0.783
0.000 0.698 0.894
0.500 0.698 0.394
0.000 0.107 0.716
0.500 0.302 0.606
0.000 0.893 0.284
0.500 0.500 0.000
0.500 0.000 0.500
0.000 0.000 0.000
0.000 0.204 0.408
0.500 0.599 0.697
0.000 0.599 0.197
0.500 0.204 0.908
0.500 0.796 0.092
0.000 0.796 0.592
0.500 0.401 0.303
0.000 0.401 0.803

=====

Entry 12:
GGA+U SrTiMnBiO6, optimized geometry; energy of formation from the pure elements = -2538 meV/atom; magnetization = 4.0 μB per cell
1.0
0.000 3.944 3.944
3.944 0.000 3.944
3.944 3.944 0.000
Mn O Ti Sr Bi
1 6 1 1 1
Direct
0.750 0.750 0.750
0.497 0.003 0.497
0.497 0.497 0.003
0.003 0.497 0.497
0.497 0.003 0.003
0.003 0.497 0.003
0.003 0.003 0.497
0.250 0.250 0.250
0.000 0.000 0.000
0.500 0.500 0.500

=====

Among the records above, which one has the highest energy of formation from the pure elements?
SrDyCo4O12

=====

Which value of magnetization does entry 12 give?
4.0 μB per cell